Computed, not measured: a relaxed NdZr9O20 crystal at the r²SCAN level of DFT.

Computed properties:
Theoretical density (g cm⁻³): 6.27
Formation enthalpy at 0 K (kJ/mol of formula units): -10479

Unit cell a=6.300 b=7.276 c=8.135 alpha=102.99 beta=97.41 gamma=106.73
Space group P-1 (No. 2)
Asymmetric unit:
Nd 0.000 0.000 0.000 x1
Zr 0.000 0.500 0.000 x1
Zr 0.201 0.402 0.402 x2
Zr 0.203 0.900 0.402 x2
Zr 0.399 0.301 0.799 x2
Zr 0.399 0.798 0.800 x2
O 0.048 0.239 0.840 x2
O 0.052 0.706 0.838 x2
O 0.145 0.172 0.547 x2
O 0.150 0.674 0.545 x2
O 0.262 0.626 0.250 x2
O 0.270 0.135 0.265 x2
O 0.355 0.574 0.951 x2
O 0.370 0.080 0.944 x2
O 0.443 0.520 0.648 x2
O 0.444 0.025 0.646 x2